The following is a PBE with a Hubbard U calculation of a relaxed Mg2TaNiO6 crystal, from the Materials Project.

Cell: 5.1096 5.3956 7.5129 Å, 90.00 90.00 87.78°
Positions (direct):
Mg 0.0266 0.9483 0.2500
Mg 0.4871 0.4268 0.2500
Mg 0.5129 0.5732 0.7500
Mg 0.9734 0.0517 0.7500
Ta 0.0000 0.5000 0.0000
Ta 0.0000 0.5000 0.5000
Ni 0.5000 0.0000 0.0000
Ni 0.5000 0.0000 0.5000
O 0.8143 0.8136 0.5670
O 0.3083 0.6821 0.4303
O 0.1857 0.1864 0.4330
O 0.6917 0.3179 0.9303
O 0.1349 0.4461 0.7500
O 0.6917 0.3179 0.5697
O 0.3083 0.6821 0.0697
O 0.8143 0.8136 0.9330
O 0.6346 0.0652 0.2500
O 0.1857 0.1864 0.0670
O 0.3654 0.9348 0.7500
O 0.8651 0.5539 0.2500

**ρ**: 6.17 g/cm³
**Calculated total energy**: -138.87 eV/cell
**SG**: P2_1/m

The following is a PBE with a Hubbard U calculation of a relaxed Tb2MgNi2O6 crystal, from the Materials Project.

Cell: 6.2109 6.2109 6.2109 Å, 53.35 53.35 53.35°
Positions (direct):
Tb 0.1720 0.1720 0.1720
Tb 0.7995 0.7995 0.7995
Mg 0.3667 0.3667 0.3667
Ni 0.9921 0.9921 0.9921
Ni 0.5717 0.5717 0.5717
O 0.0973 0.7611 0.3745
O 0.2200 0.6057 0.9144
O 0.6057 0.9144 0.2200
O 0.3745 0.0973 0.7611
O 0.7611 0.3745 0.0973
O 0.9144 0.2200 0.6057

**Polymorph energy (0 for the lowest one)**: 70 meV/atom
**ρ**: 6.45 g/cm³
**SG**: R3

The following is a PBE with a Hubbard U calculation of a relaxed Tb2MgNi2O6 crystal, from the Materials Project.

Cell: 5.6887 5.6900 5.9588 Å, 53.83 58.79 72.96°
Positions (direct):
Tb 0.3188 0.1083 0.2594
Tb 0.6792 0.8093 0.7975
Mg 0.0585 0.6807 0.1858
Ni 0.9272 0.2485 0.8625
Ni 0.4940 0.4584 0.5335
O 0.0838 0.6658 0.5269
O 0.3630 0.5910 0.8507
O 0.7112 0.8422 0.1486
O 0.2800 0.0781 0.9074
O 0.6310 0.3256 0.2161
O 0.9157 0.2548 0.5240

**Polymorph energy (0 for the lowest one)**: 0 meV/atom
**ρ**: 6.93 g/cm³
**SG**: P1

Magnetic moment readings, ordered: 2.00, 4.00, 4.00 Bohr magnetons per cell